(one)
Entry from the Materials Project: a geometry-optimized CuSn3 structure (PBE-GGA).

```
8
Lattice="6.623 0.000 0.000 -3.311 5.736 0.000 0.000 0.000 5.005" Properties=species:S:1:pos:R:3 pbc="T T T"
Cu 0.000 3.824 1.251
Cu 3.311 1.912 3.754
Sn 0.000 1.977 3.754
Sn -1.599 4.747 3.754
Sn 1.712 0.988 1.251
Sn 1.599 4.747 3.754
Sn 4.911 0.988 1.251
Sn 3.311 3.759 1.251
```

Values from the calculation:
magnetization: 0.0 μB/f.u.

=====

(two)
Entry from the Materials Project: a geometry-optimized CuSn3 structure (PBE-GGA).

```
4
Lattice="-2.240 2.240 4.871 2.240 -2.240 4.871 2.240 2.240 -4.871" Properties=species:S:1:pos:R:3 pbc="T T T"
Cu 0.000 0.000 0.000
Sn 2.240 0.000 2.435
Sn 0.000 0.000 4.871
Sn 0.000 2.240 2.435
```

Values from the calculation:
magnetization: 0.0 μB/f.u.

=====

Result of the stability comparison: (two) is the least stable of them.

=====

(one)
Entry from the Materials Project: a geometry-optimized Tm3Cu4Sn4 structure (PBE-GGA).

```
11
Lattice="-2.225 3.464 7.252 2.225 -3.464 7.252 2.225 3.464 -7.252" Properties=species:S:1:pos:R:3 pbc="T T T"
Tm 0.000 0.000 0.000
Tm 2.225 0.000 5.379
Tm 0.000 3.464 1.873
Cu 2.225 1.301 -2.516
Cu 2.225 1.301 2.516
Cu 0.000 2.163 4.736
Cu 0.000 2.163 9.768
Sn 0.000 0.000 3.143
Sn 2.225 2.046 0.000
Sn 0.000 1.418 7.252
Sn 0.000 0.000 11.361
```

=====

(two)
Entry from the Materials Project: a geometry-optimized Tm3Cu4Sn4 structure (PBE-GGA).

```
11
Lattice="7.902 -2.075 0.000 7.902 2.075 0.000 -4.478 0.000 7.141" Properties=species:S:1:pos:R:3 pbc="T T T"
Tm 0.000 0.000 0.000
Tm 4.029 0.000 2.489
Tm 7.298 0.000 4.652
Cu -1.284 0.000 6.784
Cu 1.103 0.000 3.052
Cu 10.224 0.000 4.088
Cu 12.611 0.000 0.356
Sn -1.490 0.000 2.432
Sn 1.446 0.000 5.890
Sn 9.881 0.000 1.251
Sn 12.816 0.000 4.709
```

Values from the calculation:
magnetization: 0.0 μB/f.u.

=====

Result of the stability comparison: (two) is the least stable of them.